# LuZnSn

A relaxed structure of LuZnSn (GGA-PBE, the Materials Project).

Lattice parameters (Å, degrees): 4.507 4.507 15.152 90.00 90.00 120.00
Fractional coordinates of all 12 atoms:
Lu (0.000, 0.000, 0.250)
Lu (0.000, 0.000, 0.750)
Lu (0.000, 0.000, 0.000)
Lu (0.000, 0.000, 0.500)
Zn (0.333, 0.667, 0.157)
Zn (0.667, 0.333, 0.843)
Zn (0.667, 0.333, 0.657)
Zn (0.333, 0.667, 0.343)
Sn (0.333, 0.667, 0.611)
Sn (0.667, 0.333, 0.389)
Sn (0.667, 0.333, 0.111)
Sn (0.333, 0.667, 0.889)

Calculated values
- symmetry = P6_3/mmc, No. 194
- E_tot (eV per atom) = -3.750